The following is a DFT calculation (PBE) of an optimized crystal structure of Fe5Ni4P3.

```
Fe5Ni4P3
1.0
-0.747 1.078 4.191
-6.440 -1.138 1.423
3.918 -17.184 7.333
Fe Ni P
20 16 12
direct
0.315 0.816 0.011 Fe
0.648 0.815 0.344 Fe
0.981 0.815 0.677 Fe
0.477 0.186 0.323 Fe
0.811 0.185 0.656 Fe
0.142 0.184 0.989 Fe
0.724 0.029 0.061 Fe
0.055 0.032 0.395 Fe
0.389 0.032 0.729 Fe
0.149 0.971 0.272 Fe
0.482 0.972 0.605 Fe
0.814 0.972 0.938 Fe
0.063 0.395 0.443 Fe
0.397 0.394 0.777 Fe
0.122 0.671 0.132 Fe
0.454 0.670 0.465 Fe
0.787 0.670 0.799 Fe
0.258 0.329 0.201 Fe
0.589 0.329 0.535 Fe
0.923 0.328 0.868 Fe
0.933 0.612 0.017 Ni
0.267 0.612 0.349 Ni
0.600 0.612 0.683 Ni
0.898 0.389 0.316 Ni
0.231 0.389 0.650 Ni
0.563 0.387 0.983 Ni
0.162 0.052 0.129 Ni
0.497 0.048 0.463 Ni
0.831 0.048 0.796 Ni
0.675 0.948 0.204 Ni
0.008 0.948 0.537 Ni
0.342 0.948 0.871 Ni
0.565 0.604 0.223 Ni
0.895 0.605 0.557 Ni
0.228 0.605 0.890 Ni
0.726 0.396 0.111 Ni
0.027 0.659 0.252 P
0.359 0.660 0.586 P
0.693 0.658 0.919 P
0.272 0.342 0.081 P
0.607 0.343 0.415 P
0.940 0.343 0.748 P
0.581 0.758 0.113 P
0.917 0.756 0.446 P
0.250 0.755 0.780 P
0.785 0.241 0.220 P
0.118 0.242 0.553 P
0.452 0.243 0.886 P
```

Results
**DFT total energy**: -86.34 eV/f.u.
**Magnetization**: 10.14 μB per formula unit

=====

The following is a DFT calculation (PBE) of an optimized crystal structure of Hg3S2Cl2.

```
Hg3S2Cl2
1.0
18.476 0.000 0.000
0.000 18.476 0.000
0.000 0.000 18.476
Hg S Cl
96 64 64
direct
0.857 0.357 0.750 Hg
0.643 0.250 0.857 Hg
0.750 0.143 0.643 Hg
0.143 0.643 0.250 Hg
0.357 0.750 0.143 Hg
0.250 0.857 0.357 Hg
0.857 0.643 0.250 Hg
0.643 0.750 0.143 Hg
0.750 0.857 0.357 Hg
0.143 0.357 0.750 Hg
0.357 0.250 0.857 Hg
0.250 0.143 0.643 Hg
0.143 0.643 0.750 Hg
0.357 0.750 0.857 Hg
0.250 0.857 0.643 Hg
0.857 0.357 0.250 Hg
0.643 0.250 0.143 Hg
0.750 0.143 0.357 Hg
0.143 0.357 0.250 Hg
0.357 0.250 0.143 Hg
0.250 0.143 0.357 Hg
0.857 0.643 0.750 Hg
0.643 0.750 0.857 Hg
0.750 0.857 0.643 Hg
0.641 0.384 0.000 Hg
0.616 0.000 0.641 Hg
0.000 0.359 0.616 Hg
0.359 0.616 0.000 Hg
0.384 0.000 0.359 Hg
0.000 0.641 0.384 Hg
0.641 0.616 0.000 Hg
0.616 0.000 0.359 Hg
0.359 0.384 0.000 Hg
0.384 0.000 0.641 Hg
0.000 0.641 0.616 Hg
0.000 0.359 0.384 Hg
0.141 0.500 0.884 Hg
0.116 0.141 0.500 Hg
0.500 0.116 0.859 Hg
0.859 0.500 0.116 Hg
0.884 0.859 0.500 Hg
0.500 0.884 0.141 Hg
0.141 0.500 0.116 Hg
0.116 0.859 0.500 Hg
0.859 0.500 0.884 Hg
0.884 0.141 0.500 Hg
0.500 0.116 0.141 Hg
0.500 0.884 0.859 Hg
0.635 0.500 0.645 Hg
0.500 0.355 0.635 Hg
0.645 0.365 0.500 Hg
0.365 0.500 0.355 Hg
0.500 0.645 0.365 Hg
0.355 0.635 0.500 Hg
0.635 0.500 0.355 Hg
0.645 0.635 0.500 Hg
0.365 0.500 0.645 Hg
0.355 0.365 0.500 Hg
0.500 0.645 0.635 Hg
0.500 0.355 0.365 Hg
0.135 0.145 0.000 Hg
0.000 0.135 0.855 Hg
0.145 0.000 0.865 Hg
0.865 0.855 0.000 Hg
0.000 0.865 0.145 Hg
0.855 0.000 0.135 Hg
0.135 0.855 0.000 Hg
0.145 0.000 0.135 Hg
0.865 0.145 0.000 Hg
0.855 0.000 0.865 Hg
0.000 0.135 0.145 Hg
0.000 0.865 0.855 Hg
0.863 0.500 0.616 Hg
0.500 0.384 0.863 Hg
0.616 0.137 0.500 Hg
0.137 0.500 0.384 Hg
0.500 0.616 0.137 Hg
0.384 0.863 0.500 Hg
0.863 0.500 0.384 Hg
0.616 0.863 0.500 Hg
0.137 0.500 0.616 Hg
0.384 0.137 0.500 Hg
0.500 0.616 0.863 Hg
0.500 0.384 0.137 Hg
0.363 0.116 0.000 Hg
0.000 0.363 0.884 Hg
0.116 0.000 0.637 Hg
0.637 0.884 0.000 Hg
0.000 0.637 0.116 Hg
0.884 0.000 0.363 Hg
0.363 0.884 0.000 Hg
0.116 0.000 0.363 Hg
0.637 0.116 0.000 Hg
0.884 0.000 0.637 Hg
0.000 0.363 0.116 Hg
0.000 0.637 0.884 Hg
0.632 0.368 0.632 S
0.368 0.632 0.368 S
0.632 0.632 0.368 S
0.368 0.368 0.632 S
0.368 0.632 0.632 S
0.632 0.368 0.368 S
0.368 0.368 0.368 S
0.632 0.632 0.632 S
0.132 0.132 0.868 S
0.868 0.868 0.132 S
0.132 0.868 0.132 S
0.868 0.132 0.868 S
0.868 0.132 0.132 S
0.132 0.868 0.868 S
0.868 0.868 0.868 S
0.132 0.132 0.132 S
0.868 0.369 0.882 S
0.631 0.118 0.868 S
0.882 0.132 0.631 S
0.132 0.631 0.118 S
0.369 0.882 0.132 S
0.118 0.868 0.369 S
0.868 0.631 0.118 S
0.631 0.882 0.132 S
0.882 0.868 0.369 S
0.132 0.369 0.882 S
0.369 0.118 0.868 S
0.118 0.132 0.631 S
0.132 0.631 0.882 S
0.369 0.882 0.868 S
0.118 0.868 0.631 S
0.868 0.369 0.118 S
0.631 0.118 0.132 S
0.882 0.132 0.369 S
0.132 0.369 0.118 S
0.369 0.118 0.132 S
0.118 0.132 0.369 S
0.868 0.631 0.882 S
0.631 0.882 0.868 S
0.882 0.868 0.631 S
0.368 0.382 0.869 S
0.131 0.368 0.618 S
0.382 0.131 0.632 S
0.632 0.618 0.131 S
0.869 0.632 0.382 S
0.618 0.869 0.368 S
0.368 0.618 0.131 S
0.131 0.632 0.382 S
0.382 0.869 0.368 S
0.632 0.382 0.869 S
0.869 0.368 0.618 S
0.618 0.131 0.632 S
0.632 0.382 0.131 S
0.869 0.368 0.382 S
0.618 0.131 0.368 S
0.368 0.618 0.869 S
0.131 0.632 0.618 S
0.382 0.869 0.632 S
0.632 0.618 0.869 S
0.869 0.632 0.618 S
0.618 0.869 0.632 S
0.368 0.382 0.131 S
0.131 0.368 0.382 S
0.382 0.131 0.368 S
0.500 0.500 0.500 Cl
0.000 0.000 0.000 Cl
0.750 0.500 0.000 Cl
0.500 0.000 0.750 Cl
0.000 0.250 0.500 Cl
0.250 0.500 0.000 Cl
0.500 0.000 0.250 Cl
0.000 0.750 0.500 Cl
0.000 0.500 0.000 Cl
0.500 0.000 0.000 Cl
0.000 0.000 0.500 Cl
0.500 0.500 0.000 Cl
0.000 0.500 0.500 Cl
0.500 0.000 0.500 Cl
0.000 0.500 0.750 Cl
0.500 0.250 0.000 Cl
0.750 0.000 0.500 Cl
0.000 0.500 0.250 Cl
0.500 0.750 0.000 Cl
0.250 0.000 0.500 Cl
0.750 0.250 0.750 Cl
0.250 0.750 0.250 Cl
0.750 0.750 0.250 Cl
0.250 0.250 0.750 Cl
0.250 0.750 0.750 Cl
0.750 0.250 0.250 Cl
0.250 0.250 0.250 Cl
0.750 0.750 0.750 Cl
0.744 0.500 0.500 Cl
0.500 0.500 0.744 Cl
0.500 0.256 0.500 Cl
0.256 0.500 0.500 Cl
0.500 0.500 0.256 Cl
0.500 0.744 0.500 Cl
0.244 0.000 0.000 Cl
0.000 0.244 0.000 Cl
0.000 0.000 0.756 Cl
0.756 0.000 0.000 Cl
0.000 0.756 0.000 Cl
0.000 0.000 0.244 Cl
0.000 0.259 0.755 Cl
0.741 0.245 0.000 Cl
0.755 0.000 0.741 Cl
0.000 0.741 0.245 Cl
0.259 0.755 0.000 Cl
0.245 0.000 0.259 Cl
0.741 0.755 0.000 Cl
0.755 0.000 0.259 Cl
0.259 0.245 0.000 Cl
0.245 0.000 0.741 Cl
0.000 0.741 0.755 Cl
0.000 0.259 0.245 Cl
0.500 0.255 0.759 Cl
0.241 0.500 0.745 Cl
0.255 0.241 0.500 Cl
0.500 0.745 0.241 Cl
0.759 0.500 0.255 Cl
0.745 0.759 0.500 Cl
0.241 0.500 0.255 Cl
0.255 0.759 0.500 Cl
0.759 0.500 0.745 Cl
0.745 0.241 0.500 Cl
0.500 0.255 0.241 Cl
0.500 0.745 0.759 Cl
```

Results
**DFT total energy**: -15.55 eV/f.u.
**Magnetization**: 0.00 μB per formula unit

=====

The following is a DFT calculation (PBE) of an optimized crystal structure of NdUCo10.

```
NdUCo10
1.0
0.000 0.000 -3.928
-2.402 -4.160 0.000
-7.199 4.156 0.000
Nd U Co
1 1 10
direct
0.000 0.000 0.000 Nd
0.000 0.500 0.500 U
0.000 0.000 0.350 Co
0.000 0.500 0.807 Co
0.000 0.500 0.193 Co
0.000 0.000 0.650 Co
0.500 0.000 0.500 Co
0.500 0.500 0.000 Co
0.500 0.254 0.258 Co
0.500 0.746 0.742 Co
0.500 0.746 0.258 Co
0.500 0.254 0.742 Co
```

Results
**DFT total energy**: -87.71 eV/f.u.
**Magnetization**: 10.42 μB per formula unit

=====

The following is a DFT calculation (PBE) of an optimized crystal structure of Na2LiTbCl6.

```
Na2LiTbCl6
1.0
0.000 5.145 5.145
5.145 0.000 5.145
5.145 5.145 0.000
Na Li Tb Cl
2 1 1 6
direct
0.750 0.750 0.750 Na
0.250 0.250 0.250 Na
0.500 0.500 0.500 Li
0.000 0.000 0.000 Tb
0.745 0.255 0.255 Cl
0.255 0.255 0.745 Cl
0.255 0.745 0.745 Cl
0.255 0.745 0.255 Cl
0.745 0.255 0.745 Cl
0.745 0.745 0.255 Cl
```

Results
**DFT total energy**: -39.04 eV/f.u.
**Magnetization**: 0.00 μB per formula unit

=====

The following is a DFT calculation (PBE) of an optimized crystal structure of SrAcAu2.

```
SrAcAu2
1.0
0.000 3.882 3.882
3.882 0.000 3.882
3.882 3.882 0.000
Sr Ac Au
1 1 2
direct
0.000 0.000 0.000 Sr
0.500 0.500 0.500 Ac
0.250 0.250 0.250 Au
0.750 0.750 0.750 Au
```

Results
**DFT total energy**: -15.42 eV/f.u.

=====

The following is a DFT calculation (PBE) of an optimized crystal structure of K2GaHgCl6.

```
K2GaHgCl6
1.0
0.000 5.235 5.235
5.235 0.000 5.235
5.235 5.235 0.000
K Ga Hg Cl
2 1 1 6
direct
0.750 0.750 0.750 K
0.250 0.250 0.250 K
0.000 0.000 0.000 Ga
0.500 0.500 0.500 Hg
0.768 0.232 0.232 Cl
0.232 0.232 0.768 Cl
0.232 0.768 0.768 Cl
0.232 0.768 0.232 Cl
0.768 0.232 0.768 Cl
0.768 0.768 0.232 Cl
```

Results
**DFT total energy**: -29.04 eV/f.u.
**Magnetization**: 0.00 μB per formula unit

=====

The following is a DFT calculation (PBE) of an optimized crystal structure of P6Pb5O11.

```
P6Pb5O11
1.0
4.723 0.000 0.000
-0.994 7.345 0.000
-2.318 -2.949 13.426
P Pb O
6 5 11
direct
0.508 0.949 0.111 P
0.185 0.489 0.194 P
0.130 0.200 0.453 P
0.847 0.706 0.536 P
0.797 0.569 0.772 P
0.527 0.057 0.872 P
0.998 0.049 0.015 Pb
0.659 0.331 0.353 Pb
0.329 0.700 0.687 Pb
0.636 0.220 0.631 Pb
0.347 0.564 0.955 Pb
0.534 0.034 0.223 O
0.905 0.424 0.226 O
0.187 0.377 0.088 O
0.122 0.292 0.564 O
0.789 0.894 0.582 O
0.938 0.668 0.436 O
0.654 0.538 0.556 O
0.821 0.595 0.890 O
0.389 0.223 0.914 O
0.544 0.038 0.760 O
0.355 0.869 0.883 O
```

Results
**DFT total energy**: -130.14 eV/f.u.
**Magnetization**: 0.00 μB per formula unit

=====

The following is a DFT calculation (PBE) of an optimized crystal structure of MgTi2.

```
MgTi2
1.0
-7.372 -0.371 3.311
6.100 -1.554 -5.081
1.480 -3.634 2.888
Mg Ti
2 4
direct
0.447 0.553 0.250 Mg
0.553 0.447 0.750 Mg
0.127 0.873 0.250 Ti
0.775 0.225 0.250 Ti
0.225 0.775 0.750 Ti
0.873 0.127 0.750 Ti
```

Results
**DFT total energy**: -17.16 eV/f.u.
**Magnetization**: 0.00 μB per formula unit

=====

The following is a DFT calculation (PBE) of an optimized crystal structure of KBaAg2Te4.

```
KBaAg2Te4
1.0
9.200 2.237 8.608
7.759 8.084 6.179
-10.732 -4.759 -5.090
K Ba Ag Te
1 1 2 4
direct
0.883 0.883 0.000 K
0.116 0.116 0.000 Ba
0.251 0.751 0.500 Ag
0.751 0.251 0.500 Ag
0.502 0.002 0.500 Te
0.002 0.502 0.500 Te
0.320 0.320 0.000 Te
0.673 0.673 0.000 Te
```

Results
**DFT total energy**: -27.18 eV/f.u.
**Magnetization**: 0.02 μB per formula unit

=====

The following is a DFT calculation (PBE) of an optimized crystal structure of EuIn2Au.

```
EuIn2Au
1.0
2.354 -5.583 0.000
2.354 5.583 0.000
0.000 0.000 7.687
Eu In Au
2 4 2
direct
0.576 0.424 0.250 Eu
0.424 0.576 0.750 Eu
0.134 0.866 0.551 In
0.866 0.134 0.449 In
0.134 0.866 0.949 In
0.866 0.134 0.051 In
0.289 0.711 0.250 Au
0.711 0.289 0.750 Au
```

Results
**DFT total energy**: -21.19 eV/f.u.

=====

The following is a DFT calculation (PBE) of an optimized crystal structure of CrN2.

```
CrN2
1.0
-3.742 1.556 3.692
-0.303 -4.976 -2.280
3.414 -2.222 4.396
Cr N
3 6
direct
0.513 0.513 0.000 Cr
0.487 0.000 0.667 Cr
0.000 0.487 0.333 Cr
0.570 0.802 0.855 N
0.198 0.768 0.522 N
0.232 0.430 0.188 N
0.802 0.570 0.145 N
0.768 0.198 0.478 N
0.430 0.232 0.812 N
```

Results
**DFT total energy**: -25.84 eV/f.u.
**Magnetization**: 0.00 μB per formula unit